1.
This record from the Materials Project database describes a relaxed KHS crystal. The functional is r²SCAN.

Lattice parameters (Å, degrees): 4.3657 4.9275 6.5912 90.00 101.12 90.00
Last column: nearest neighbours and their distance in Å.
Fractional positions:
K 0.2327 0.2500 0.2620  3 H 2.94-2.95, 3 S 3.25-3.26
K 0.7673 0.7500 0.7380  3 H 2.94-2.95, 3 S 3.25-3.26
H 0.4705 0.7500 0.1045  1 S 1.34
H 0.5295 0.2500 0.8955  1 S 1.34
S 0.2595 0.2500 0.7576  1 H 1.34
S 0.7405 0.7500 0.2424  1 H 1.34

Properties
Its theoretical density is 1.72 g/cm3. The calculation puts the raw total energy at -6.74 eV/atom. The space group is P2_1/m (11). For the size of the total moment, the calculation gives 0.0 Bohr magnetons per cell. The calculation puts the energy of formation from the pure elements at -262 kJ/mol of formula units.

2.
This record from the Materials Project database describes a relaxed K3ZnH5 crystal. The functional is r²SCAN.

Lattice parameters (Å, degrees): 7.6649 7.6649 7.6649 121.70 121.70 87.08
Last column: nearest neighbours and their distance in Å.
Fractional positions:
K 0.1797 0.6797 0.8594  8 H 2.74-2.93
K 0.2500 0.2500 0.0000  10 H 2.78-3.11
K 0.3203 0.1797 0.5000  8 H 2.74-2.93
K 0.6797 0.8203 0.5000  8 H 2.74-2.93
K 0.7500 0.7500 0.0000  10 H 2.78-3.11
K 0.8203 0.3203 0.1406  8 H 2.74-2.93
Zn 0.2500 0.7500 0.5000  4 H 1.64
Zn 0.7500 0.2500 0.5000  4 H 1.64
H 0.0000 0.0000 0.0000  6 K 2.74-2.78
H 0.0369 0.7867 0.5000  1 Zn 1.64
H 0.2133 0.7133 0.2502  1 Zn 1.64
H 0.2867 0.5369 0.5000  1 Zn 1.64
H 0.4631 0.9631 0.7498  1 Zn 1.64
H 0.5000 0.5000 0.0000  6 K 2.74-2.78
H 0.5369 0.0369 0.2502  1 Zn 1.64
H 0.7133 0.4631 0.5000  1 Zn 1.64
H 0.7867 0.2867 0.7498  1 Zn 1.64
H 0.9631 0.2133 0.5000  1 Zn 1.64

Properties
Its theoretical density is 2.01 g/cm3. The calculation puts the raw total energy at -5.23 eV/atom. The space group is I4/mcm (140). For the size of the total moment, the calculation gives 0.0 Bohr magnetons per cell. The calculation puts the energy of formation from the pure elements at -277 kJ/mol of formula units.

3.
This record from the Materials Project database describes a relaxed LaH3 crystal. The functional is r²SCAN.

Lattice parameters (Å, degrees): 3.9407 3.9407 3.9407 60.00 60.00 60.00
Last column: nearest neighbours and their distance in Å.
Fractional positions:
La 0.0000 0.0000 0.0000  8 H 2.41
H 0.2500 0.2500 0.2500  4 H 2.41, 4 La 2.41
H 0.5000 0.5000 0.5000  8 H 2.41
H 0.7500 0.7500 0.7500  4 H 2.41, 4 La 2.41

Properties
Its theoretical density is 5.45 g/cm3. The calculation puts the raw total energy at -10.71 eV/atom. The space group is Fm-3m (225). For the size of the total moment, the calculation gives 0.0 Bohr magnetons per cell. The calculation puts the energy of formation from the pure elements at -265 kJ/mol of formula units.

4.
This record from the Materials Project database describes a relaxed LaH3O3 crystal. The functional is r²SCAN.

Lattice parameters (Å, degrees): 6.5153 3.8330 6.5324 90.00 119.89 90.00
Last column: nearest neighbours and their distance in Å.
Fractional positions:
La 0.1667 0.2500 0.3326  9 O 2.54-2.58
La 0.8333 0.7500 0.6674  9 O 2.54-2.58
H 0.2258 0.2500 0.8576  1 O 0.97
H 0.3593 0.7500 0.1328  1 O 0.97
H 0.3635 0.7500 0.7221  1 O 0.97
H 0.6365 0.2500 0.2779  1 O 0.97
H 0.6407 0.2500 0.8672  1 O 0.97
H 0.7742 0.7500 0.1424  1 O 0.97
O 0.1100 0.2500 0.6912  1 H 0.97
O 0.1921 0.7500 0.0808  1 H 0.97
O 0.4174 0.7500 0.6086  1 H 0.97
O 0.5826 0.2500 0.3914  1 H 0.97
O 0.8079 0.2500 0.9192  1 H 0.97
O 0.8900 0.7500 0.3088  1 H 0.97

Properties
Its theoretical density is 4.46 g/cm3. The calculation puts the raw total energy at -10.39 eV/atom. The space group is P2_1/m (11). For the size of the total moment, the calculation gives 0.0 Bohr magnetons per cell. The calculation puts the energy of formation from the pure elements at -1417 kJ/mol of formula units.

5.
This record from the Materials Project database describes a relaxed LaHO crystal. The functional is r²SCAN.

Lattice parameters (Å, degrees): 8.0637 8.0637 5.7034 90.00 90.00 90.00
Last column: nearest neighbours and their distance in Å.
Fractional positions:
La 0.0000 0.0000 0.0000  4 O 2.44, 4 H 2.50
La 0.0000 0.5000 0.0000  4 O 2.44, 4 H 2.50
La 0.2500 0.2500 0.4425  4 O 2.42, 4 H 2.53
La 0.2500 0.7500 0.5000  4 O 2.41, 4 H 2.58
La 0.5000 0.0000 0.0000  4 O 2.44, 4 H 2.50
La 0.5000 0.5000 0.0000  4 O 2.44, 4 H 2.50
La 0.7500 0.2500 0.5000  4 O 2.41, 4 H 2.58
La 0.7500 0.7500 0.5575  4 O 2.42, 4 H 2.53
H 0.0191 0.2500 0.7434  4 La 2.50-2.58, 2 H 2.63
H 0.2500 0.0191 0.7434  4 La 2.50-2.58, 2 H 2.63
H 0.2500 0.4809 0.7434  4 La 2.50-2.58, 2 H 2.63
H 0.4809 0.2500 0.7434  4 La 2.50-2.58, 2 H 2.63
H 0.5191 0.7500 0.2566  4 La 2.50-2.58, 2 H 2.63
H 0.7500 0.5191 0.2566  4 La 2.50-2.58, 2 H 2.63
H 0.7500 0.9809 0.2566  4 La 2.50-2.58, 2 H 2.63
H 0.9809 0.7500 0.2566  4 La 2.50-2.58, 2 H 2.63
O 0.0139 0.7500 0.7586  4 La 2.41-2.44
O 0.2500 0.5139 0.2414  4 La 2.41-2.44
O 0.2500 0.9861 0.2414  4 La 2.41-2.44
O 0.4861 0.7500 0.7586  4 La 2.41-2.44
O 0.5139 0.2500 0.2414  4 La 2.41-2.44
O 0.7500 0.0139 0.7586  4 La 2.41-2.44
O 0.7500 0.4861 0.7586  4 La 2.41-2.44
O 0.9861 0.2500 0.2414  4 La 2.41-2.44

Properties
Its theoretical density is 5.58 g/cm3. The calculation puts the raw total energy at -15.50 eV/atom. The space group is P4/nmm (129). For the size of the total moment, the calculation gives 0.0 Bohr magnetons per cell. The calculation puts the energy of formation from the pure elements at -706 kJ/mol of formula units.

6.
This record from the Materials Project database describes a relaxed LaH3O3 crystal. The functional is r²SCAN.

Lattice parameters (Å, degrees): 3.8329 6.5077 6.5292 60.12 88.66 88.83
Last column: nearest neighbours and their distance in Å.
Fractional positions:
La 0.0000 0.0000 0.0000  9 O 2.53-2.61, 1 H 2.82
La 0.4990 0.6660 0.6650  9 O 2.53-2.60, 1 H 2.84
H 0.0226 0.4738 0.4653  1 O 0.97
H 0.0294 0.0580 0.4757  1 O 0.97
H 0.4810 0.6079 0.1894  1 O 0.97
H 0.4907 0.1921 0.2004  1 O 0.97
H 0.5467 0.1955 0.6124  1 O 0.97
H 0.9643 0.4701 0.0534  1 O 0.97
O 0.9997 0.4153 0.9413  1 H 0.97
O 0.0057 0.6410 0.4131  1 H 0.97
O 0.4886 0.0249 0.2517  1 H 0.97
O 0.4941 0.2513 0.7222  1 H 0.97
O 0.5087 0.7227 0.0235  1 H 0.97
O 0.9857 0.9448 0.6404  1 H 0.97

Properties
Its theoretical density is 4.47 g/cm3. The calculation puts the raw total energy at -10.39 eV/atom. The space group is P1 (1). For the size of the total moment, the calculation gives 0.0 Bohr magnetons per cell. The calculation puts the energy of formation from the pure elements at -1417 kJ/mol of formula units.

7.
This record from the Materials Project database describes a relaxed LaH3O3 crystal. The functional is r²SCAN.

Lattice parameters (Å, degrees): 6.5145 6.5145 3.8346 90.00 90.00 120.00
Last column: nearest neighbours and their distance in Å.
Fractional positions:
La 0.3333 0.6667 0.0000  9 O 2.54-2.62
La 0.6667 0.3333 0.5000  9 O 2.54-2.62
H 0.1322 0.2751 0.5328  1 O 0.97
H 0.1430 0.8678 0.5328  1 O 0.97
H 0.2751 0.1430 0.0328  1 O 0.97
H 0.7249 0.8570 0.5328  1 O 0.97
H 0.8570 0.1322 0.0328  1 O 0.97
H 0.8678 0.7249 0.0328  1 O 0.97
O 0.0805 0.3885 0.4895  1 H 0.97
O 0.3079 0.9195 0.4895  1 H 0.97
O 0.3885 0.3079 0.9895  1 H 0.97
O 0.6115 0.6921 0.4895  1 H 0.97
O 0.6921 0.0805 0.9895  1 H 0.97
O 0.9195 0.6115 0.9895  1 H 0.97

Properties
Its theoretical density is 4.48 g/cm3. The calculation puts the raw total energy at -10.39 eV/atom. The space group is P6_3 (173). For the size of the total moment, the calculation gives 0.0 Bohr magnetons per cell. The calculation puts the energy of formation from the pure elements at -1417 kJ/mol of formula units.

8.
This record from the Materials Project database describes a relaxed LaHO2 crystal. The functional is r²SCAN.

Lattice parameters (Å, degrees): 4.4414 3.9350 6.4141 90.00 107.49 90.00
Last column: nearest neighbours and their distance in Å.
Fractional positions:
La 0.1691 0.2500 0.3068  7 O 2.40-2.63
La 0.8309 0.7500 0.6932  7 O 2.40-2.63
H 0.4815 0.7500 0.0728  1 O 0.97
H 0.5185 0.2500 0.9272  1 O 0.97
O 0.2593 0.7500 0.0607  1 H 0.97
O 0.2599 0.7500 0.5380  4 La 2.40-2.43
O 0.7401 0.2500 0.4620  4 La 2.40-2.43
O 0.7407 0.2500 0.9393  1 H 0.97

Properties
Its theoretical density is 5.34 g/cm3. The calculation puts the raw total energy at -14.09 eV/atom. The space group is P2_1/m (11). For the size of the total moment, the calculation gives 0.0 Bohr magnetons per cell. The calculation puts the energy of formation from the pure elements at -1083 kJ/mol of formula units.